Below is NbPt3 after structural relaxation, with properties calculated at the r2SCAN level.

extended XYZ file:
```
8
Lattice="4.603 0.000 0.000 0.000 5.585 0.000 0.000 0.000 4.903" Properties=species:S:1:pos:R:3 pbc="T T T"
Nb 1.151 1.396 0.779
Nb 3.452 4.189 4.124
Pt 1.151 5.584 3.261
Pt 1.151 2.793 3.261
Pt 1.151 4.189 0.787
Pt 3.452 0.001 1.642
Pt 3.452 1.396 4.116
Pt 3.452 2.792 1.642
```

calculated formation energy: -272 kJ/mol of formula units
density: 17.87 Mg/m³

***

Below is NbPt3 after structural relaxation, with properties calculated at the r2SCAN level.

extended XYZ file:
```
16
Lattice="4.908 0.000 0.000 0.000 5.582 0.000 -1.732 0.000 9.208" Properties=species:S:1:pos:R:3 pbc="T T T"
Nb -0.065 1.395 3.479
Nb -0.104 1.395 8.034
Nb 3.280 4.186 1.175
Nb 3.241 4.186 5.729
Pt -0.114 4.186 3.456
Pt 0.810 0.009 1.131
Pt 0.810 2.782 1.131
Pt -0.072 4.186 8.032
Pt 0.785 2.796 5.763
Pt 0.785 5.576 5.763
Pt 2.390 0.005 3.445
Pt 2.390 2.786 3.445
Pt 3.248 1.395 1.177
Pt 2.366 2.800 8.077
Pt 2.366 5.572 8.077
Pt 3.289 1.395 5.752
```

calculated formation energy: -273 kJ/mol of formula units
density: 17.86 Mg/m³